one) A plane-wave DFT calculation with PBE+U was carried out for LiMn4P3O12 after structural relaxation.

Its space group is I-42d, No. 122. The piezoelectric modulus e_max comes out at 0.1 C/m².

```
data_LiMn4P3O12
_symmetry_space_group_name_H-M 'P 1'
_symmetry_Int_Tables_number 1
_cell_length_a 10.921
_cell_length_b 10.921
_cell_length_c 10.921
_cell_angle_alpha 143.56
_cell_angle_beta 143.56
_cell_angle_gamma 52.48
loop_
_symmetry_equiv_pos_as_xyz
'x,y,z'
loop_
_atom_site_label
_atom_site_type_symbol
_atom_site_fract_x
_atom_site_fract_y
_atom_site_fract_z
_atom_site_occupancy
Li1 Li 0.000 0.000 0.000 1
Li2 Li 0.750 0.250 0.500 1
Mn1 Mn 0.018 0.518 0.500 1
Mn2 Mn 0.139 0.125 0.514 1
Mn3 Mn 0.268 0.268 0.000 1
Mn4 Mn 0.375 0.861 0.986 1
Mn5 Mn 0.482 0.982 0.500 1
Mn6 Mn 0.611 0.625 0.486 1
Mn7 Mn 0.732 0.732 0.000 1
Mn8 Mn 0.875 0.389 0.014 1
P1 P 0.027 0.625 0.902 1
P2 P 0.250 0.750 0.500 1
P3 P 0.375 0.277 0.402 1
P4 P 0.500 0.500 0.000 1
P5 P 0.723 0.125 0.098 1
P6 P 0.875 0.973 0.598 1
O1 O 0.021 0.655 0.258 1
O2 O 0.040 0.833 0.662 1
O3 O 0.127 0.421 0.838 1
O4 O 0.167 0.829 0.206 1
O5 O 0.171 0.377 0.338 1
O6 O 0.237 0.979 0.634 1
O7 O 0.344 0.073 0.292 1
O8 O 0.345 0.603 0.366 1
O9 O 0.353 0.595 0.866 1
O10 O 0.397 0.763 0.742 1
O11 O 0.405 0.271 0.758 1
O12 O 0.406 0.199 0.229 1
O13 O 0.513 0.647 0.242 1
O14 O 0.579 0.417 0.706 1
O15 O 0.583 0.290 0.162 1
O16 O 0.623 0.960 0.794 1
O17 O 0.710 0.873 0.294 1
O18 O 0.729 0.487 0.134 1
O19 O 0.780 0.051 0.708 1
O20 O 0.801 0.030 0.208 1
O21 O 0.823 0.594 0.792 1
O22 O 0.927 0.220 0.271 1
O23 O 0.949 0.656 0.729 1
O24 O 0.970 0.177 0.771 1
```

---

two) A plane-wave DFT calculation with PBE+U was carried out for LiMn4P3O12 after structural relaxation.

Its space group is C2/c, No. 15.

```
data_LiMn4P3O12
_symmetry_space_group_name_H-M 'P 1'
_symmetry_Int_Tables_number 1
_cell_length_a 9.004
_cell_length_b 9.004
_cell_length_c 6.732
_cell_angle_alpha 107.13
_cell_angle_beta 107.13
_cell_angle_gamma 94.65
loop_
_symmetry_equiv_pos_as_xyz
'x,y,z'
loop_
_atom_site_label
_atom_site_type_symbol
_atom_site_fract_x
_atom_site_fract_y
_atom_site_fract_z
_atom_site_occupancy
Li1 Li 0.001 0.999 0.750 1
Li2 Li 0.999 0.001 0.250 1
Mn1 Mn 0.061 0.369 0.628 1
Mn2 Mn 0.261 0.739 0.250 1
Mn3 Mn 0.369 0.061 0.128 1
Mn4 Mn 0.497 0.503 0.750 1
Mn5 Mn 0.503 0.497 0.250 1
Mn6 Mn 0.631 0.939 0.872 1
Mn7 Mn 0.739 0.261 0.750 1
Mn8 Mn 0.939 0.631 0.372 1
P1 P 0.114 0.334 0.121 1
P2 P 0.288 0.712 0.750 1
P3 P 0.334 0.114 0.621 1
P4 P 0.666 0.886 0.379 1
P5 P 0.712 0.288 0.250 1
P6 P 0.886 0.666 0.879 1
O1 O 0.007 0.681 0.108 1
O2 O 0.045 0.395 0.307 1
O3 O 0.154 0.166 0.100 1
O4 O 0.166 0.154 0.600 1
O5 O 0.184 0.737 0.540 1
O6 O 0.263 0.462 0.168 1
O7 O 0.263 0.816 0.960 1
O8 O 0.269 0.537 0.754 1
O9 O 0.319 0.993 0.392 1
O10 O 0.395 0.045 0.807 1
O11 O 0.462 0.263 0.668 1
O12 O 0.463 0.731 0.746 1
O13 O 0.537 0.269 0.254 1
O14 O 0.538 0.737 0.332 1
O15 O 0.605 0.955 0.193 1
O16 O 0.681 0.007 0.608 1
O17 O 0.731 0.463 0.246 1
O18 O 0.737 0.184 0.040 1
O19 O 0.737 0.538 0.832 1
O20 O 0.816 0.263 0.460 1
O21 O 0.834 0.846 0.400 1
O22 O 0.846 0.834 0.900 1
O23 O 0.955 0.605 0.693 1
O24 O 0.993 0.319 0.892 1
```

---

Ranking the structures above by energy, one) is first and the second is 0.017 eV/atom behind.